This record from Materials Project describes a relaxed structure of Ba2CuSi2O7. The functional is PBE.

Summary:
Space group = C2/c (15)
DFT formation energy = -2944 meV per atom
Relative energy among the computed polymorphs = 13 meV per atom
Volume = 15.6 Å³/atom

Cell: 6.855 6.855 8.660 Å, 102.55 102.55 101.64°
Sites, in units of the cell vectors:
Ba 0.187 0.267 0.473
Ba 0.267 0.187 0.973
Ba 0.733 0.813 0.027
Ba 0.813 0.733 0.527
Cu 0.263 0.737 0.250
Cu 0.737 0.263 0.750
Si 0.160 0.615 0.860
Si 0.385 0.840 0.640
Si 0.615 0.160 0.360
Si 0.840 0.385 0.140
O 0.016 0.776 0.863
O 0.035 0.373 0.765
O 0.224 0.984 0.637
O 0.312 0.627 0.039
O 0.331 0.669 0.750
O 0.373 0.035 0.265
O 0.373 0.688 0.461
O 0.627 0.312 0.539
O 0.627 0.965 0.735
O 0.669 0.331 0.250
O 0.688 0.373 0.961
O 0.776 0.016 0.363
O 0.965 0.627 0.235
O 0.984 0.224 0.137

***

This record from Materials Project describes a relaxed structure of BaSm2CuO5. The functional is PBE.

Summary:
Space group = Pnma (62)
DFT formation energy = -3006 meV per atom
Volume = 14.9 Å³/atom

Cell: 12.475 5.805 7.385 Å, 90.00 90.00 90.00°
Sites, in units of the cell vectors:
Ba 0.094 0.250 0.068
Ba 0.406 0.750 0.568
Ba 0.594 0.250 0.432
Ba 0.906 0.750 0.932
Sm 0.074 0.750 0.395
Sm 0.213 0.250 0.612
Sm 0.287 0.750 0.112
Sm 0.426 0.250 0.895
Sm 0.574 0.750 0.105
Sm 0.713 0.250 0.888
Sm 0.787 0.750 0.388
Sm 0.926 0.250 0.605
Cu 0.161 0.750 0.781
Cu 0.339 0.250 0.281
Cu 0.661 0.750 0.719
Cu 0.839 0.250 0.219
O 0.068 0.510 0.665
O 0.068 0.990 0.665
O 0.098 0.750 0.079
O 0.228 0.007 0.351
O 0.228 0.493 0.351
O 0.272 0.507 0.851
O 0.272 0.993 0.851
O 0.402 0.250 0.579
O 0.432 0.010 0.165
O 0.432 0.490 0.165
O 0.568 0.510 0.835
O 0.568 0.990 0.835
O 0.598 0.750 0.421
O 0.728 0.007 0.149
O 0.728 0.493 0.149
O 0.772 0.507 0.649
O 0.772 0.993 0.649
O 0.902 0.250 0.921
O 0.932 0.010 0.335
O 0.932 0.490 0.335

***

This record from Materials Project describes a relaxed structure of Ba2SmCu3O6. The functional is PBE.

Summary:
Space group = P4/mmm (123)
DFT formation energy = -2222 meV per atom
Volume = 15.5 Å³/atom

Cell: 3.909 3.909 12.160 Å, 90.00 90.00 90.00°
Sites, in units of the cell vectors:
Ba 0.000 0.000 0.195
Ba 0.000 0.000 0.805
Sm 0.000 0.000 0.500
Cu 0.500 0.500 0.000
Cu 0.500 0.500 0.362
Cu 0.500 0.500 0.638
O 0.000 0.500 0.375
O 0.000 0.500 0.625
O 0.500 0.000 0.375
O 0.500 0.000 0.625
O 0.500 0.500 0.149
O 0.500 0.500 0.851

***

This record from Materials Project describes a relaxed structure of Ba8Sr2Sm5Cu15O35. The functional is PBE.

Summary:
Space group = Pmm2 (25)
DFT formation energy = -2173 meV per atom
Volume = 13.7 Å³/atom

Cell: 3.850 3.944 58.667 Å, 90.00 90.00 90.00°
Sites, in units of the cell vectors:
Ba 0.000 0.000 0.000
Ba 0.000 0.000 0.072
Ba 0.000 0.000 0.200
Ba 0.000 0.000 0.272
Ba 0.000 0.000 0.400
Ba 0.000 0.000 0.472
Ba 0.000 0.000 0.672
Ba 0.000 0.000 0.872
Sr 0.000 0.000 0.600
Sr 0.000 0.000 0.800
Sm 0.000 0.000 0.136
Sm 0.000 0.000 0.336
Sm 0.000 0.000 0.537
Sm 0.000 0.000 0.737
Sm 0.000 0.000 0.936
Cu 0.500 0.500 0.036
Cu 0.500 0.500 0.106
Cu 0.500 0.500 0.166
Cu 0.500 0.500 0.236
Cu 0.500 0.500 0.306
Cu 0.500 0.500 0.366
Cu 0.500 0.500 0.436
Cu 0.500 0.500 0.506
Cu 0.500 0.500 0.567
Cu 0.500 0.500 0.635
Cu 0.500 0.500 0.706
Cu 0.500 0.500 0.767
Cu 0.500 0.500 0.835
Cu 0.500 0.500 0.906
Cu 0.500 0.500 0.966
O 0.000 0.500 0.111
O 0.000 0.500 0.161
O 0.000 0.500 0.311
O 0.000 0.500 0.361
O 0.000 0.500 0.511
O 0.000 0.500 0.562
O 0.000 0.500 0.711
O 0.000 0.500 0.762
O 0.000 0.500 0.911
O 0.000 0.500 0.961
O 0.500 0.000 0.036
O 0.500 0.000 0.111
O 0.500 0.000 0.161
O 0.500 0.000 0.236
O 0.500 0.000 0.311
O 0.500 0.000 0.361
O 0.500 0.000 0.436
O 0.500 0.000 0.511
O 0.500 0.000 0.563
O 0.500 0.000 0.634
O 0.500 0.000 0.711
O 0.500 0.000 0.763
O 0.500 0.000 0.834
O 0.500 0.000 0.911
O 0.500 0.000 0.961
O 0.500 0.500 0.004
O 0.500 0.500 0.068
O 0.500 0.500 0.204
O 0.500 0.500 0.268
O 0.500 0.500 0.404
O 0.500 0.500 0.468
O 0.500 0.500 0.604
O 0.500 0.500 0.667
O 0.500 0.500 0.804
O 0.500 0.500 0.867

***

This record from Materials Project describes a relaxed structure of Ba3SrCu4O10. The functional is PBE.

Summary:
Space group = P1 (1)
DFT formation energy = -1834 meV per atom
Volume = 14.8 Å³/atom

Cell: 11.225 11.294 18.584 Å, 107.64 107.56 90.04°
Sites, in units of the cell vectors:
Ba 0.000 0.000 0.000
Ba 0.000 0.497 0.000
Ba 0.112 0.610 0.724
Ba 0.113 0.112 0.725
Ba 0.113 0.610 0.226
Ba 0.249 0.247 0.497
Ba 0.250 0.746 0.498
Ba 0.251 0.249 0.000
Ba 0.251 0.748 0.000
Ba 0.363 0.362 0.725
Ba 0.363 0.860 0.725
Ba 0.364 0.862 0.227
Ba 0.499 0.495 0.496
Ba 0.500 0.999 0.498
Ba 0.503 0.497 0.001
Ba 0.504 0.001 0.001
Ba 0.614 0.611 0.725
Ba 0.615 0.113 0.728
Ba 0.617 0.114 0.229
Ba 0.750 0.746 0.496
Ba 0.751 0.749 0.001
Ba 0.864 0.860 0.725
Ba 0.865 0.362 0.725
Ba 0.999 0.997 0.496
Sr 0.112 0.107 0.220
Sr 0.357 0.355 0.220
Sr 0.615 0.604 0.221
Sr 0.756 0.248 0.504
Sr 0.757 0.250 0.008
Sr 0.858 0.856 0.220
Sr 0.860 0.357 0.222
Sr 0.998 0.495 0.502
Cu 0.054 0.301 0.608
Cu 0.055 0.801 0.609
Cu 0.059 0.305 0.118
Cu 0.059 0.807 0.119
Cu 0.145 0.942 0.358
Cu 0.147 0.438 0.361
Cu 0.155 0.940 0.863
Cu 0.156 0.439 0.863
Cu 0.304 0.552 0.609
Cu 0.307 0.053 0.611
Cu 0.309 0.056 0.117
Cu 0.311 0.556 0.119
Cu 0.460 0.690 0.863
Cu 0.462 0.194 0.361
Cu 0.463 0.686 0.359
Cu 0.464 0.191 0.865
Cu 0.556 0.302 0.609
Cu 0.557 0.803 0.612
Cu 0.560 0.805 0.118
Cu 0.561 0.307 0.118
Cu 0.655 0.439 0.358
Cu 0.656 0.438 0.863
Cu 0.656 0.943 0.363
Cu 0.656 0.944 0.865
Cu 0.805 0.052 0.609
Cu 0.805 0.550 0.607
Cu 0.809 0.555 0.118
Cu 0.811 0.057 0.119
Cu 0.956 0.190 0.864
Cu 0.956 0.688 0.359
Cu 0.959 0.689 0.863
Cu 0.960 0.194 0.360
O 0.005 0.840 0.352
O 0.020 0.840 0.863
O 0.021 0.340 0.864
O 0.092 0.091 0.864
O 0.094 0.589 0.863
O 0.094 0.591 0.360
O 0.098 0.098 0.355
O 0.137 0.878 0.252
O 0.139 0.377 0.756
O 0.139 0.876 0.757
O 0.144 0.367 0.257
O 0.174 0.428 0.605
O 0.176 0.673 0.606
O 0.179 0.934 0.113
O 0.180 0.179 0.609
O 0.180 0.928 0.609
O 0.182 0.181 0.116
O 0.182 0.679 0.112
O 0.183 0.427 0.114
O 0.239 0.981 0.463
O 0.242 0.480 0.467
O 0.247 0.983 0.969
O 0.248 0.482 0.969
O 0.361 0.129 0.256
O 0.367 0.617 0.254
O 0.368 0.627 0.757
O 0.371 0.126 0.759
O 0.432 0.181 0.614
O 0.432 0.680 0.613
O 0.433 0.186 0.120
O 0.433 0.431 0.613
O 0.434 0.931 0.614
O 0.436 0.932 0.117
O 0.439 0.434 0.123
O 0.439 0.679 0.120
O 0.475 0.732 0.969
O 0.476 0.234 0.971
O 0.476 0.235 0.467
O 0.476 0.729 0.465
O 0.508 0.344 0.351
O 0.517 0.342 0.861
O 0.521 0.841 0.362
O 0.521 0.842 0.863
O 0.596 0.590 0.864
O 0.603 0.592 0.354
O 0.605 0.100 0.369
O 0.610 0.103 0.872
O 0.640 0.880 0.758
O 0.641 0.378 0.757
O 0.648 0.872 0.258
O 0.650 0.378 0.253
O 0.680 0.929 0.610
O 0.681 0.677 0.608
O 0.682 0.423 0.605
O 0.683 0.180 0.607
O 0.684 0.427 0.113
O 0.684 0.680 0.116
O 0.686 0.929 0.115
O 0.687 0.184 0.112
O 0.745 0.474 0.970
O 0.746 0.987 0.470
O 0.747 0.472 0.464
O 0.748 0.987 0.972
O 0.859 0.619 0.254
O 0.868 0.124 0.253
O 0.869 0.127 0.757
O 0.869 0.626 0.756
O 0.929 0.182 0.610
O 0.930 0.426 0.117
O 0.930 0.427 0.608
O 0.931 0.685 0.119
O 0.932 0.675 0.609
O 0.933 0.930 0.613
O 0.935 0.184 0.120
O 0.937 0.935 0.122
O 0.964 0.232 0.969
O 0.968 0.235 0.466
O 0.973 0.732 0.969
O 0.975 0.725 0.466
O 0.999 0.354 0.361

***

This record from Materials Project describes a relaxed structure of Ba7SrCu8O24. The functional is PBE.

Summary:
Space group = Pm-3m (221)
DFT formation energy = -1668 meV per atom
Volume = 12.8 Å³/atom

Cell: 7.996 7.996 7.996 Å, 90.00 90.00 90.00°
Sites, in units of the cell vectors:
Ba 0.000 0.000 0.000
Ba 0.000 0.000 0.500
Ba 0.000 0.500 0.000
Ba 0.000 0.500 0.500
Ba 0.500 0.000 0.000
Ba 0.500 0.000 0.500
Ba 0.500 0.500 0.000
Sr 0.500 0.500 0.500
Cu 0.250 0.250 0.250
Cu 0.250 0.250 0.750
Cu 0.250 0.750 0.250
Cu 0.250 0.750 0.750
Cu 0.750 0.250 0.250
Cu 0.750 0.250 0.750
Cu 0.750 0.750 0.250
Cu 0.750 0.750 0.750
O 0.000 0.250 0.250
O 0.000 0.250 0.750
O 0.000 0.750 0.250
O 0.000 0.750 0.750
O 0.250 0.000 0.250
O 0.250 0.000 0.750
O 0.250 0.250 0.000
O 0.250 0.750 0.000
O 0.255 0.255 0.500
O 0.255 0.500 0.255
O 0.255 0.500 0.745
O 0.255 0.745 0.500
O 0.500 0.255 0.255
O 0.500 0.255 0.745
O 0.500 0.745 0.255
O 0.500 0.745 0.745
O 0.745 0.255 0.500
O 0.745 0.500 0.255
O 0.745 0.500 0.745
O 0.745 0.745 0.500
O 0.750 0.000 0.250
O 0.750 0.000 0.750
O 0.750 0.250 0.000
O 0.750 0.750 0.000